! SnCSN2Cl2 PBE optimized geometry; values from VASP
! - calculated formation energy (eV per atom) = -0.037
! - calculated volume (Å³ per cell) = 741.8
! - E above lowest polymorph (eV per atom) = 0.000
! - spin magnetization (μB/f.u.) = 2.00
&SYSTEM
  ibrav = 0, nat = 28, ntyp = 5
/
ATOMIC_SPECIES
Sn 118.71 Sn.upf
C 12.01 C.upf
S 32.06 S.upf
N 14.01 N.upf
Cl 35.45 Cl.upf
CELL_PARAMETERS angstrom
6.9827 0.0000 0.0000
0.0000 15.7605 0.0000
-2.0666 0.0000 6.7404
ATOMIC_POSITIONS angstrom
Sn 0.3808 3.7992 2.3079
Sn -0.6525 4.0811 5.6781
Sn 5.5687 11.6794 1.0623
Sn 4.5354 11.9614 4.4325
C 1.3600 0.2810 5.0067
C 2.3933 7.5993 1.6365
C 2.5229 8.1613 5.1038
C 3.5562 15.4795 1.7336
S -1.0624 2.5565 3.8177
S -0.0291 5.3238 0.4475
S 4.9453 10.4367 6.2929
S 5.9786 13.2041 2.9227
N 1.3028 8.1255 1.8827
N 0.2695 15.5153 5.2529
N 1.4277 8.6834 5.3406
N 2.4610 14.9574 1.9704
N 2.4551 0.8032 4.7699
N 3.4884 7.0771 1.3997
N 4.6467 0.2453 1.4875
N 3.6134 7.6350 4.8577
Cl 0.7053 1.9599 0.6240
Cl -0.3280 5.9204 3.9942
Cl 3.3494 11.7926 0.3153
Cl 2.3161 11.8482 3.6855
Cl 2.6001 3.9123 3.0549
Cl 1.5668 3.9679 6.4251
Cl 5.2442 9.8401 2.7462
Cl 4.2109 13.8006 6.1164